# CrN2

Crystalline CrN2 at its relaxed geometry (PBE, Materials Project).

Cell: 5.1684 7.5140 7.5644 Å, 113.74 102.58 102.81°
Fractional positions:
Cr: 0.5548 0.4716 0.8497
Cr: 0.1875 0.3713 0.4398
Cr: 0.1841 0.7142 0.8347
Cr: 0.5520 0.2274 0.1263
N: 0.6561 0.3531 0.9900
N: 0.1710 0.6151 0.5791
N: 0.3939 0.6375 0.9791
N: 0.3129 0.9826 0.9561
N: 0.3885 0.3628 0.2831
N: 0.8384 0.2155 0.2812
N: 0.3398 0.2806 0.5964
N: 0.8522 0.6236 0.8416

Space group   P1
Electronic total energy   -8.58 eV per atom